1.
## Li3V4O3F9 (GGA+U)

Data for an optimized crystal structure of Li3V4O3F9.

## Properties
Space group: P1, No. 1
Total magnetic moment: 16.00 μB per cell
Offset from the most stable computed form: 21 meV/atom

Geometry as CIF:
```
data_Li3V4O3F9
_cell_length_a 5.1897
_cell_length_b 5.5421
_cell_length_c 17.2837
_cell_angle_alpha 88.98
_cell_angle_beta 97.46
_cell_angle_gamma 117.49
_space_group_name_H-M_alt 'P 1'
_space_group_IT_number 1
_space_group_name_Hall 'P 1'
loop_
_atom_site_label
_atom_site_type_symbol
_atom_site_fract_x
_atom_site_fract_y
_atom_site_fract_z
_atom_site_occupancy
Li1 Li 0.9353 0.5522 0.3168 1
Li2 Li 0.6359 0.3251 0.9412 1
Li3 Li 0.3275 0.1023 0.5483 1
Li4 Li 0.8040 0.8285 0.7992 1
Li5 Li 0.6872 0.9186 0.4500 1
Li6 Li 0.4333 0.8262 0.0723 1
V1 V 0.9791 0.0180 0.0029 1
V2 V 0.7479 0.3791 0.1282 1
V3 V 0.5338 0.2493 0.7506 1
V4 V 0.5039 0.7260 0.2472 1
V5 V 0.7584 0.8949 0.6321 1
V6 V 0.2485 0.1170 0.3807 1
V7 V 0.0362 0.5151 0.4949 1
V8 V 0.2142 0.6092 0.8704 1
O1 O 0.7888 0.2047 0.0333 1
O2 O 0.7018 0.0392 0.7202 1
O3 O 0.6875 0.5345 0.2165 1
O4 O 0.8094 0.4190 0.8467 1
O5 O 0.1717 0.2717 0.4672 1
O6 O 0.2750 0.8360 0.4419 1
F1 F 0.7272 0.0517 0.1875 1
F2 F 0.7429 0.1924 0.5581 1
F3 F 0.7194 0.6804 0.0563 1
F4 F 0.7036 0.3512 0.3991 1
F5 F 0.8318 0.7388 0.5324 1
F6 F 0.8003 0.8705 0.3486 1
F7 F 0.3117 0.1322 0.0930 1
F8 F 0.7742 0.5880 0.6930 1
F9 F 0.2266 0.4209 0.3083 1
F10 F 0.6704 0.8467 0.9033 1
F11 F 0.2090 0.1086 0.6531 1
F12 F 0.1913 0.5995 0.1482 1
F13 F 0.3445 0.4843 0.7826 1
F14 F 0.3317 0.6780 0.5928 1
F15 F 0.2929 0.9267 0.2855 1
F16 F 0.2551 0.3132 0.9379 1
F17 F 0.2380 0.9407 0.8159 1
F18 F 0.1720 0.7820 0.9715 1
```

=====

2.
## Li7V6O12F12 (GGA+U)

Data for an optimized crystal structure of Li7V6O12F12.

## Properties
Space group: P1, No. 1
Total magnetic moment: 2.00 μB per cell
Uncorrected energy: -6.120 eV/atom

Geometry as CIF:
```
data_Li7V6O12F12
_cell_length_a 4.9477
_cell_length_b 7.5470
_cell_length_c 22.1802
_cell_angle_alpha 84.16
_cell_angle_beta 90.28
_cell_angle_gamma 90.39
_space_group_name_H-M_alt 'P 1'
_space_group_IT_number 1
_space_group_name_Hall 'P 1'
loop_
_atom_site_label
_atom_site_type_symbol
_atom_site_fract_x
_atom_site_fract_y
_atom_site_fract_z
_atom_site_occupancy
Li1 Li 0.7440 0.5220 0.1228 1
Li2 Li 0.7603 0.0290 0.1238 1
Li3 Li 0.2539 0.6405 0.2120 1
Li4 Li 0.2595 0.1282 0.2020 1
Li5 Li 0.2362 0.2321 0.3064 1
Li6 Li 0.7556 0.6796 0.4586 1
Li7 Li 0.7425 0.2068 0.4560 1
Li8 Li 0.2659 0.7898 0.5366 1
Li9 Li 0.2577 0.3121 0.5445 1
Li10 Li 0.2345 0.8954 0.6403 1
Li11 Li 0.7463 0.8706 0.7833 1
Li12 Li 0.7599 0.3580 0.7894 1
Li13 Li 0.2528 0.9813 0.8728 1
Li14 Li 0.2243 0.5414 0.9524 1
V1 V 0.2302 0.7841 0.0557 1
V2 V 0.2710 0.2794 0.0528 1
V3 V 0.7627 0.8839 0.2796 1
V4 V 0.7308 0.3902 0.2788 1
V5 V 0.2609 0.9380 0.3874 1
V6 V 0.2230 0.4605 0.3888 1
V7 V 0.7676 0.5505 0.6140 1
V8 V 0.7319 0.0579 0.6120 1
V9 V 0.2653 0.6038 0.7230 1
V10 V 0.2227 0.1270 0.7220 1
V11 V 0.7289 0.7294 0.9472 1
V12 V 0.7616 0.2125 0.9453 1
O1 O 0.9511 0.6886 0.0139 1
O2 O 0.1147 0.9877 0.0615 1
O3 O 0.5610 0.1903 0.0135 1
O4 O 0.3848 0.4851 0.0590 1
O5 O 0.8819 0.6806 0.2721 1
O6 O 0.0611 0.9839 0.3191 1
O7 O 0.5948 0.1853 0.2705 1
O8 O 0.4317 0.4779 0.3238 1
O9 O 0.5584 0.8519 0.3439 1
O10 O 0.9494 0.3561 0.3512 1
O11 O 0.1087 0.6666 0.3952 1
O12 O 0.3872 0.1413 0.3926 1
O13 O 0.5949 0.8534 0.6045 1
O14 O 0.8821 0.3460 0.6058 1
O15 O 0.0631 0.6479 0.6534 1
O16 O 0.4330 0.1464 0.6579 1
O17 O 0.5590 0.5195 0.6777 1
O18 O 0.3873 0.8094 0.7269 1
O19 O 0.9492 0.0209 0.6851 1
O20 O 0.1057 0.3322 0.7292 1
O21 O 0.6203 0.5228 0.9423 1
O22 O 0.4422 0.8107 0.9889 1
O23 O 0.8873 0.0111 0.9427 1
O24 O 0.0608 0.3145 0.9876 1
F1 F 0.5492 0.7924 0.1037 1
F2 F 0.9627 0.2861 0.1052 1
F3 F 0.0774 0.6697 0.1302 1
F4 F 0.4373 0.1681 0.1276 1
F5 F 0.5798 0.5038 0.2014 1
F6 F 0.4513 0.8756 0.2279 1
F7 F 0.9249 0.9955 0.2034 1
F8 F 0.0722 0.3546 0.2348 1
F9 F 0.9586 0.9589 0.4374 1
F10 F 0.5441 0.4596 0.4390 1
F11 F 0.4396 0.8332 0.4606 1
F12 F 0.0802 0.3396 0.4648 1
F13 F 0.9274 0.6626 0.5373 1
F14 F 0.5794 0.1707 0.5349 1
F15 F 0.4547 0.5449 0.5614 1
F16 F 0.0724 0.0196 0.5687 1
F17 F 0.9534 0.6287 0.7705 1
F18 F 0.0713 0.0053 0.7985 1
F19 F 0.5388 0.1215 0.7746 1
F20 F 0.4389 0.5003 0.7930 1
F21 F 0.5815 0.8338 0.8724 1
F22 F 0.9034 0.3254 0.8739 1
F23 F 0.0518 0.7194 0.9008 1
F24 F 0.4473 0.1883 0.9008 1
```

=====

3.
## Li3V4O3F9 (GGA+U)

Data for an optimized crystal structure of Li3V4O3F9.

## Properties
Space group: P1, No. 1
Total magnetic moment: 8.00 μB per cell
Offset from the most stable computed form: 26 meV/atom

Geometry as CIF:
```
data_Li3V4O3F9
_cell_length_a 5.1244
_cell_length_b 5.5120
_cell_length_c 7.7010
_cell_angle_alpha 94.74
_cell_angle_beta 90.96
_cell_angle_gamma 92.33
_space_group_name_H-M_alt 'P 1'
_space_group_IT_number 1
_space_group_name_Hall 'P 1'
loop_
_atom_site_label
_atom_site_type_symbol
_atom_site_fract_x
_atom_site_fract_y
_atom_site_fract_z
_atom_site_occupancy
Li1 Li 0.9779 0.6040 0.2164 1
Li2 Li 0.5107 0.0530 0.1895 1
Li3 Li 0.4899 0.9389 0.8071 1
V1 V 0.9890 0.9900 0.5018 1
V2 V 0.5124 0.5121 0.4974 1
V3 V 0.5024 0.4980 0.9943 1
V4 V 0.0031 0.0060 0.9980 1
O1 O 0.8059 0.6972 0.4406 1
O2 O 0.7036 0.8012 0.0539 1
O3 O 0.3250 0.1840 0.9627 1
F1 F 0.8506 0.0208 0.7510 1
F2 F 0.8184 0.3123 0.0875 1
F3 F 0.6864 0.1882 0.4208 1
F4 F 0.6159 0.4969 0.7454 1
F5 F 0.3576 0.5100 0.2509 1
F6 F 0.3152 0.8246 0.5797 1
F7 F 0.1949 0.3052 0.5472 1
F8 F 0.1966 0.6994 0.9249 1
F9 F 0.1431 0.9688 0.2521 1
```

=====

4.
## Li3VOF5 (GGA+U)

Data for an optimized crystal structure of Li3VOF5.

## Properties
Total magnetic moment: 2.00 μB per cell
Maximum piezoelectric response: 1.538 C/m2
Offset from the most stable computed form: 76 meV/atom

Geometry as CIF:
```
data_Li3VOF5
_cell_length_a 5.5031
_cell_length_b 5.5149
_cell_length_c 8.9273
_cell_angle_alpha 88.37
_cell_angle_beta 91.35
_cell_angle_gamma 108.68
_space_group_name_H-M_alt 'P 1'
_space_group_IT_number 1
_space_group_name_Hall 'P 1'
loop_
_atom_site_label
_atom_site_type_symbol
_atom_site_fract_x
_atom_site_fract_y
_atom_site_fract_z
_atom_site_occupancy
Li1 Li 0.0765 0.9179 0.5846 1
Li2 Li 0.5765 0.4179 0.0846 1
Li3 Li 0.0411 0.4906 0.7776 1
Li4 Li 0.5412 0.9906 0.2776 1
Li5 Li 0.5086 0.9657 0.7755 1
Li6 Li 0.0086 0.4656 0.2755 1
V1 V 0.5006 0.5017 0.5014 1
V2 V 0.0006 0.0020 0.0013 1
O1 O 0.6384 0.3743 0.6353 1
O2 O 0.1384 0.8744 0.1352 1
F1 F 0.8368 0.1614 0.8358 1
F2 F 0.3368 0.6614 0.3359 1
F3 F 0.8206 0.1832 0.1312 1
F4 F 0.3206 0.6832 0.6312 1
F5 F 0.1307 0.8686 0.8217 1
F6 F 0.6306 0.3686 0.3217 1
F7 F 0.7735 0.8242 0.4725 1
F8 F 0.2735 0.3242 0.9725 1
F9 F 0.6789 0.7274 0.9802 1
F10 F 0.1789 0.2274 0.4802 1
```